[1]
# ZrNbFe4, optimized geometry, DFT meta-GGA r2SCAN
# ΔH_f (0 K)	-0.0844	eV per atom
# total magnetic moment	1.265	μB/atom
# volume	85.81	Å³/cell
data_ZrNbFe4
_symmetry_space_group_name_H-M 'P 1'
_symmetry_Int_Tables_number 1
_symmetry_space_group_name_Hall 'P 1'
_cell_length_a 4.951
_cell_length_b 4.951
_cell_length_c 4.951
_cell_angle_alpha 60.00
_cell_angle_beta 60.00
_cell_angle_gamma 60.00
loop_
_atom_site_label
_atom_site_type_symbol
_atom_site_fract_x
_atom_site_fract_y
_atom_site_fract_z
Zr1 Zr 0.000 0.000 0.000
Nb1 Nb 0.250 0.250 0.250
Fe1 Fe 0.625 0.625 0.125
Fe2 Fe 0.625 0.125 0.625
Fe3 Fe 0.125 0.625 0.625
Fe4 Fe 0.625 0.625 0.625


[2]
# NaSrAu2, optimized geometry, DFT meta-GGA r2SCAN
# ΔH_f (0 K)	-0.5846	eV per atom
# total magnetic moment	0.000	μB/atom
# volume	100.09	Å³/cell
data_NaSrAu2
_symmetry_space_group_name_H-M 'P 1'
_symmetry_Int_Tables_number 1
_symmetry_space_group_name_Hall 'P 1'
_cell_length_a 5.215
_cell_length_b 5.215
_cell_length_c 5.215
_cell_angle_alpha 59.92
_cell_angle_beta 59.92
_cell_angle_gamma 59.92
loop_
_atom_site_label
_atom_site_type_symbol
_atom_site_fract_x
_atom_site_fract_y
_atom_site_fract_z
Na1 Na 0.250 0.250 0.250
Sr1 Sr 0.750 0.750 0.750
Au1 Au 0.500 0.500 0.500
Au2 Au 0.000 0.000 0.000


> The lowest ΔH_f (0 K) belongs to which entry?

NaSrAu2


> Which value of total magnetic moment does entry 1 give?

1.265 μB/atom